(w)
20
Lattice="-4.595 4.595 3.303 4.595 -4.595 3.303 4.595 4.595 -3.303" Properties=species:S:1:pos:R:3 comment="BeSO8 PBE optimized geometry" crystal_system=tetragonal pbc="T T T"
Be 4.595 0.000 0.000
Be 0.000 4.595 0.000
S 0.000 0.000 0.000
S 0.000 0.000 3.303
O 1.175 0.980 0.000
O 3.794 -0.801 1.290
O 3.615 -3.420 3.303
O 5.396 -0.801 2.013
O 5.396 0.801 1.290
O 3.615 3.420 0.000
O 3.794 0.801 2.013
O 1.175 -0.980 3.303
O 3.420 5.575 0.000
O 0.801 3.794 1.290
O 0.980 1.175 3.303
O -0.801 3.794 2.013
O -0.801 5.396 1.290
O 0.980 8.015 0.000
O 0.801 5.396 2.013
O 3.420 3.615 3.303

(x)
20
Lattice="-3.960 3.960 3.719 3.960 -3.960 3.719 3.960 3.960 -3.719" Properties=species:S:1:pos:R:3 comment="BeSO8 PBE optimized geometry" crystal_system=tetragonal pbc="T T T"
Be 0.000 0.000 0.000
Be 0.000 0.000 3.719
S 3.960 0.000 1.860
S 0.000 3.960 1.860
O 4.729 3.116 -2.502
O 5.075 -0.577 1.079
O 3.383 -1.115 2.640
O 2.844 0.577 1.079
O 0.844 -0.769 2.502
O -0.769 0.844 1.217
O 3.116 4.729 -1.217
O 4.537 1.115 2.640
O 3.191 3.116 1.217
O -1.115 3.383 1.079
O 0.577 2.844 2.640
O 1.115 4.537 1.079
O 3.116 3.191 2.502
O 0.769 0.844 4.936
O 0.844 0.769 6.222
O -0.577 5.075 2.640

Which one sits at the top of the stability order? (x) does.

(w)
42
Lattice="6.286 3.630 2.771 -6.286 3.630 2.771 0.000 -7.259 2.771" Properties=species:S:1:pos:R:3 comment="Be2SiO4 PBE optimized geometry" crystal_system=trigonal pbc="T T T"
Be -1.115 -4.956 3.472
Be -4.850 -1.513 4.840
Be -1.416 -2.116 3.455
Be -3.735 3.443 3.472
Be -2.540 0.169 4.857
Be -1.124 2.285 3.455
Be 1.124 -2.285 4.857
Be 2.540 -0.169 3.455
Be 3.735 -3.443 4.840
Be 1.416 2.116 4.857
Be 4.850 1.513 3.472
Be 1.115 4.956 4.840
Si -2.558 0.171 2.078
Si 1.131 -2.301 2.078
Si 1.427 2.130 2.078
Si -1.427 -2.130 6.234
Si -1.131 2.301 6.234
Si 2.558 -0.171 6.234
O -0.218 -4.977 2.069
O -4.202 2.677 2.069
O -1.865 -1.325 2.075
O -2.091 -3.624 3.462
O -4.184 -0.001 4.850
O -2.077 0.941 3.454
O -4.419 -2.300 6.243
O 0.223 -2.269 3.454
O -0.215 2.278 2.075
O 2.080 -0.953 2.075
O -1.854 -1.328 4.858
O -2.093 3.623 3.462
O 2.093 -3.623 4.850
O 1.854 1.328 3.454
O -2.080 0.953 6.237
O 0.215 -2.278 6.237
O -0.223 2.269 4.858
O 4.419 2.300 2.069
O 2.077 -0.941 4.858
O 4.184 0.001 3.462
O 2.091 3.624 4.850
O 1.865 1.325 6.237
O 4.201 -2.677 6.243
O 0.218 4.977 6.243

(x)
42
Lattice="6.220 0.000 0.000 1.959 7.324 0.000 1.929 -0.479 11.056" Properties=species:S:1:pos:R:3 comment="Be2SiO4 PBE optimized geometry" crystal_system=triclinic pbc="T T T"
Be 1.472 3.042 2.041
Be 2.359 5.633 2.943
Be 2.579 3.704 6.335
Be 4.344 6.767 8.656
Be 4.769 1.837 9.736
Be 4.100 0.327 6.829
Be 6.009 6.519 4.227
Be 5.339 5.008 1.320
Be 5.765 0.078 2.400
Be 7.530 3.141 4.721
Be 7.750 1.213 8.113
Be 8.636 3.804 9.016
Si 2.498 0.332 2.032
Si 4.803 4.103 8.424
Si 3.973 1.832 4.413
Si 6.135 5.014 6.644
Si 5.306 2.743 2.632
Si 7.611 6.513 9.024
O 3.006 6.913 2.388
O 3.301 4.114 7.555
O 2.745 2.685 5.157
O 2.708 4.162 2.599
O 3.863 3.082 9.574
O 2.883 0.644 7.702
O 2.199 1.799 1.464
O 4.894 5.518 9.229
O 3.188 0.481 3.627
O 4.106 4.028 2.083
O 5.384 5.796 5.422
O 4.819 0.351 9.771
O 5.290 6.495 1.285
O 4.724 1.050 5.635
O 6.003 2.817 8.973
O 6.920 6.365 7.430
O 5.214 1.327 1.827
O 7.910 5.046 9.593
O 7.225 6.201 3.354
O 6.245 3.764 1.482
O 7.401 2.684 8.457
O 7.364 4.161 5.899
O 6.807 2.732 3.501
O 7.102 -0.067 8.669

Which one sits at the top of the stability order? (w) does.

(w)
80
Lattice="8.257 0.000 0.000 0.000 8.188 0.000 -8.066 0.000 14.254" Properties=species:S:1:pos:R:3 comment="Be3Si3Sn2O12 PBE optimized geometry" crystal_system=monoclinic pbc="T T T"
Be -2.951 0.741 5.370
Be -6.984 3.353 12.497
Be 0.696 1.071 3.481
Be -3.337 3.023 10.607
Be -0.507 5.325 5.790
Be -4.540 6.958 12.917
Be 4.732 1.231 1.337
Be 0.699 2.864 8.463
Be 3.529 5.165 3.646
Be -0.504 7.117 10.773
Be 7.175 4.836 1.757
Be 3.142 7.447 8.884
Si -3.240 5.962 5.891
Si -7.273 6.321 13.018
Si -3.371 6.058 10.622
Si 0.662 6.224 3.495
Si -4.464 1.806 12.828
Si -0.431 2.288 5.701
Si 0.623 5.900 8.553
Si 4.655 6.382 1.426
Si -0.471 1.964 10.759
Si 3.562 2.130 3.632
Si 7.465 1.867 1.236
Si 3.432 2.227 8.363
Sn -2.106 0.132 8.273
Sn 1.927 3.962 1.146
Sn 2.090 0.327 1.155
Sn -1.943 3.767 8.282
Sn 2.134 4.422 5.972
Sn -1.899 7.861 13.098
Sn -1.736 4.226 13.108
Sn 2.297 8.057 5.981
O -6.943 4.716 13.345
O -2.910 7.566 6.219
O 0.548 1.392 0.392
O -3.485 2.702 7.519
O -0.558 1.653 2.794
O -4.591 2.442 9.921
O -1.883 1.788 5.291
O -5.916 2.306 12.418
O 0.372 5.142 2.277
O -3.661 7.140 9.404
O -1.937 5.132 6.622
O -5.970 7.151 13.749
O -4.524 5.962 11.723
O -0.491 6.320 4.596
O -3.023 4.595 9.916
O 1.009 7.688 2.789
O -3.866 0.279 12.447
O 0.167 3.816 5.321
O 0.742 1.271 5.124
O -3.291 2.823 12.251
O 3.536 1.656 0.251
O -0.497 2.438 7.378
O 2.149 1.667 2.853
O -1.884 2.427 9.980
O 2.076 5.761 4.274
O -1.957 6.521 11.401
O 0.688 5.750 6.876
O -3.345 6.532 14.003
O 3.482 5.366 2.003
O -0.551 6.917 9.130
O 0.025 4.373 8.933
O 4.058 7.910 1.806
O -0.818 0.501 11.464
O 3.215 3.594 4.338
O 0.683 1.868 9.658
O 4.716 2.226 2.531
O 6.161 1.038 0.505
O 2.128 3.056 7.631
O 3.852 1.048 4.850
O -0.181 3.046 11.977
O 6.107 5.882 1.836
O 2.074 6.400 8.963
O 4.783 5.747 4.332
O 0.750 6.536 11.459
O 3.676 5.486 6.735
O -0.357 6.796 13.862
O 3.101 0.622 8.035
O 7.134 3.472 0.908

(x)
80
Lattice="8.295 0.000 0.000 0.000 8.092 0.000 -8.069 0.000 14.167" Properties=species:S:1:pos:R:3 comment="Be3Si3Sn2O12 PBE optimized geometry" crystal_system=monoclinic pbc="T T T"
Be -3.072 1.250 5.806
Be -7.107 2.796 12.889
Be 0.663 1.215 3.404
Be -3.372 2.830 10.487
Be -0.493 5.339 5.760
Be -4.528 6.798 12.843
Be 4.754 1.293 1.323
Be 0.719 2.752 8.406
Be 3.598 5.261 3.679
Be -0.437 6.876 10.762
Be 7.333 5.296 1.278
Be 3.298 6.841 8.361
Si -7.231 5.968 13.033
Si -3.196 6.169 5.949
Si -3.400 5.891 10.494
Si 0.634 6.247 3.410
Si -4.511 1.670 12.712
Si -0.476 2.376 5.628
Si 0.702 5.716 8.538
Si 4.737 6.421 1.455
Si -0.409 1.845 10.756
Si 3.626 2.201 3.673
Si 3.422 1.922 8.217
Si 7.457 2.123 1.134
Sn 2.074 0.434 1.112
Sn -1.961 3.611 8.195
Sn -1.992 0.063 8.417
Sn 2.043 3.983 1.334
Sn -1.817 4.108 12.832
Sn 2.218 8.029 5.749
Sn 2.187 4.480 5.972
Sn -1.848 7.657 13.055
O 0.578 1.714 0.276
O -3.457 2.332 7.359
O -6.825 4.405 13.429
O -2.791 7.732 6.345
O -6.017 1.895 12.290
O -1.983 2.151 5.207
O -0.483 1.937 2.666
O -4.518 2.109 9.749
O 0.416 5.278 2.095
O -3.619 6.859 9.178
O -1.966 5.165 6.619
O -6.000 6.973 13.702
O -4.518 5.830 11.630
O -0.483 6.307 4.547
O -3.114 4.395 9.782
O 0.920 7.742 2.698
O -3.810 0.180 12.432
O 0.225 3.866 5.348
O 0.601 1.307 5.016
O -3.433 2.738 12.099
O 3.534 1.724 0.235
O -0.501 2.321 7.318
O 2.205 1.696 2.917
O -1.830 2.349 10.000
O 2.056 5.742 4.167
O -1.979 6.395 11.250
O 0.727 5.770 6.849
O -3.308 6.367 13.932
O 3.659 5.353 2.067
O -0.376 6.784 9.150
O 0.001 4.225 8.818
O 4.036 7.912 1.735
O -0.694 0.349 11.468
O 3.340 3.697 4.385
O 0.709 1.785 9.620
O 4.744 2.261 2.536
O 6.226 1.119 0.464
O 2.192 2.927 7.548
O 3.845 1.232 4.988
O -0.190 2.813 12.071
O 4.744 5.983 4.418
O 0.709 6.155 11.501
O 2.209 5.940 8.959
O 6.243 6.197 1.876
O 3.017 0.360 7.821
O 7.051 3.686 0.738
O 3.683 5.760 6.807
O -0.352 6.378 13.891

Which one sits at the top of the stability order? (w) does.

(w)
4
Lattice="-2.328 2.328 5.072 2.328 -2.328 5.072 2.328 2.328 -5.072" Properties=species:S:1:pos:R:3 comment="BePb3 PBE optimized geometry" crystal_system=tetragonal pbc="T T T"
Be 0.000 0.000 0.000
Pb 2.328 0.000 2.536
Pb 0.000 0.000 5.072
Pb 0.000 2.328 2.536

(x)
8
Lattice="6.494 0.000 0.000 -3.247 5.624 0.000 0.000 0.000 5.844" Properties=species:S:1:pos:R:3 comment="BePb3 PBE optimized geometry" crystal_system=hexagonal pbc="T T T"
Be 0.000 3.749 1.461
Be 3.247 1.875 4.383
Pb 0.000 1.925 4.383
Pb -1.579 4.661 4.383
Pb 1.667 0.963 1.461
Pb 1.579 4.661 4.383
Pb 4.826 0.963 1.461
Pb 3.247 3.698 1.461

Which one sits at the top of the stability order? (w) does.